1.
{
  "formula": "K3PuH6O8",
  "functional": "PBE",
  "state": "relaxed",
  "lattice_angstrom": [[7.8968, 0.0000, 0.0000], [0.0000, 8.5095, 0.0000], [-3.7398, 0.0000, 6.8804]],
  "species": ["K", "K", "K", "K", "K", "K", "Pu", "Pu", "H", "H", "H", "H", "H", "H", "H", "H", "H", "H", "H", "H", "O", "O", "O", "O", "O", "O", "O", "O", "O", "O", "O", "O", "O", "O", "O", "O"],
  "fractional_positions": [[0.0000, 0.0000, 0.0000], [0.0000, 0.5000, 0.5000], [0.4097, 0.1975, 0.9484], [0.4097, 0.3025, 0.4484], [0.5903, 0.6975, 0.5516], [0.5903, 0.8025, 0.0516], [0.0000, 0.0000, 0.5000], [0.0000, 0.5000, 0.0000], [0.1954, 0.7068, 0.8640], [0.1954, 0.7932, 0.3640], [0.3610, 0.5385, 0.8127], [0.3610, 0.9615, 0.3127], [0.4317, 0.5311, 0.1421], [0.4317, 0.9689, 0.6421], [0.5683, 0.0311, 0.3579], [0.5683, 0.4689, 0.8579], [0.6390, 0.0385, 0.6873], [0.6390, 0.4615, 0.1873], [0.8046, 0.2068, 0.6360], [0.8046, 0.2932, 0.1360], [0.1326, 0.1934, 0.5556], [0.1326, 0.3066, 0.0556], [0.1678, 0.5680, 0.2600], [0.1678, 0.9320, 0.7600], [0.2272, 0.5966, 0.9041], [0.2272, 0.9034, 0.4041], [0.4417, 0.5033, 0.7499], [0.4417, 0.9967, 0.2499], [0.5583, 0.0033, 0.7501], [0.5583, 0.4967, 0.2501], [0.7728, 0.0966, 0.5959], [0.7728, 0.4034, 0.0959], [0.8322, 0.0680, 0.2400], [0.8322, 0.4320, 0.7400], [0.8674, 0.6934, 0.9444], [0.8674, 0.8066, 0.4444]],
  "e_above_lowest_polymorph_mev_per_atom": 0,
  "energy_mp2020_ev_per_atom": -6.235,
  "formation_enthalpy_0k_ev_per_atom": -1.928
}

***

2.
{
  "formula": "K3PuH6O8",
  "functional": "PBE",
  "state": "relaxed",
  "lattice_angstrom": [[7.6208, 0.0000, 0.0000], [0.0000, 8.4544, 0.0000], [-3.5353, 0.0000, 7.0649]],
  "species": ["K", "K", "K", "K", "K", "K", "Pu", "Pu", "H", "H", "H", "H", "H", "H", "H", "H", "H", "H", "H", "H", "O", "O", "O", "O", "O", "O", "O", "O", "O", "O", "O", "O", "O", "O", "O", "O"],
  "fractional_positions": [[0.0000, 0.0000, 0.0000], [0.0000, 0.5000, 0.5000], [0.4138, 0.1907, 0.9572], [0.4138, 0.3093, 0.4572], [0.5862, 0.6907, 0.5428], [0.5862, 0.8093, 0.0428], [0.0000, 0.0000, 0.5000], [0.0000, 0.5000, 0.0000], [0.1659, 0.7020, 0.3187], [0.1659, 0.7980, 0.8187], [0.3585, 0.5271, 0.8269], [0.3585, 0.9729, 0.3269], [0.4222, 0.5234, 0.1293], [0.4222, 0.9766, 0.6293], [0.5778, 0.0234, 0.3707], [0.5778, 0.4766, 0.8707], [0.6415, 0.0271, 0.6731], [0.6415, 0.4729, 0.1731], [0.8341, 0.2020, 0.1813], [0.8341, 0.2980, 0.6813], [0.1289, 0.1950, 0.5764], [0.1289, 0.3050, 0.0764], [0.1914, 0.5914, 0.2970], [0.1914, 0.9086, 0.7970], [0.2026, 0.5685, 0.9211], [0.2026, 0.9315, 0.4211], [0.4460, 0.5025, 0.7661], [0.4460, 0.9975, 0.2661], [0.5540, 0.0025, 0.7339], [0.5540, 0.4975, 0.2339], [0.7974, 0.0685, 0.5789], [0.7974, 0.4315, 0.0789], [0.8086, 0.0914, 0.2030], [0.8086, 0.4086, 0.7030], [0.8711, 0.6950, 0.9236], [0.8711, 0.8050, 0.4236]],
  "e_above_lowest_polymorph_mev_per_atom": 17,
  "energy_mp2020_ev_per_atom": -6.219,
  "formation_enthalpy_0k_ev_per_atom": -1.911
}

***

3.
{
  "formula": "K3Rb5Te4H24S4O40",
  "functional": "PBE",
  "state": "relaxed",
  "lattice_angstrom": [[6.6588, 0.0000, 0.0000], [0.0145, 11.5330, 0.0000], [0.0189, 3.9615, 13.2110]],
  "species": ["K", "K", "K", "Rb", "Rb", "Rb", "Rb", "Rb", "Te", "Te", "Te", "Te", "H", "H", "H", "H", "H", "H", "H", "H", "H", "H", "H", "H", "H", "H", "H", "H", "H", "H", "H", "H", "H", "H", "H", "H", "S", "S", "S", "S", "O", "O", "O", "O", "O", "O", "O", "O", "O", "O", "O", "O", "O", "O", "O", "O", "O", "O", "O", "O", "O", "O", "O", "O", "O", "O", "O", "O", "O", "O", "O", "O", "O", "O", "O", "O", "O", "O", "O", "O"],
  "fractional_positions": [[0.0000, 0.0000, 0.0000], [0.0434, 0.6943, 0.7120], [0.5001, 0.1945, 0.7120], [0.0186, 0.2453, 0.2151], [0.0251, 0.4490, 0.4972], [0.5186, 0.9490, 0.4971], [0.5253, 0.7461, 0.2150], [0.5399, 0.4998, 0.0004], [0.0211, 0.3471, 0.8551], [0.0219, 0.8473, 0.3560], [0.5221, 0.3471, 0.3566], [0.5220, 0.8485, 0.8556], [0.0138, 0.6759, 0.2750], [0.0295, 0.0188, 0.4371], [0.0780, 0.4886, 0.9589], [0.1987, 0.7515, 0.9331], [0.2336, 0.7140, 0.4916], [0.2657, 0.4365, 0.7173], [0.2663, 0.4821, 0.2459], [0.2783, 0.9370, 0.7175], [0.2777, 0.9815, 0.2453], [0.3098, 0.2138, 0.4919], [0.3444, 0.2502, 0.9332], [0.4637, 0.9890, 0.9594], [0.5139, 0.5190, 0.4374], [0.5297, 0.1758, 0.2750], [0.5799, 0.7063, 0.7528], [0.6979, 0.4432, 0.7771], [0.7343, 0.4806, 0.2213], [0.7660, 0.7130, 0.4668], [0.7655, 0.7592, 0.9940], [0.7780, 0.2126, 0.4673], [0.7783, 0.2571, 0.9940], [0.8101, 0.9806, 0.2204], [0.8455, 0.9442, 0.7782], [0.9641, 0.2049, 0.7524], [0.0114, 0.0816, 0.6103], [0.0339, 0.6135, 0.1025], [0.5112, 0.1115, 0.1018], [0.5323, 0.5818, 0.6103], [0.0215, 0.7372, 0.0274], [0.0227, 0.9573, 0.6845], [0.0876, 0.1739, 0.6573], [0.1035, 0.6990, 0.3247], [0.1156, 0.4322, 0.7183], [0.1398, 0.7820, 0.4909], [0.1432, 0.0847, 0.5208], [0.1608, 0.4664, 0.9056], [0.2456, 0.5898, 0.1367], [0.2576, 0.4142, 0.3110], [0.2585, 0.2434, 0.8755], [0.2855, 0.7443, 0.8757], [0.2864, 0.9145, 0.3109], [0.2987, 0.0863, 0.1347], [0.3789, 0.9666, 0.9071], [0.4005, 0.5850, 0.5209], [0.4033, 0.2817, 0.4913], [0.4285, 0.9338, 0.7188], [0.4404, 0.1990, 0.3249], [0.4560, 0.6740, 0.6576], [0.5213, 0.4573, 0.6843], [0.5223, 0.2351, 0.0268], [0.5875, 0.0184, 0.0556], [0.6033, 0.4954, 0.3876], [0.6155, 0.7646, 0.9927], [0.6419, 0.4120, 0.2223], [0.6430, 0.1095, 0.1910], [0.6650, 0.7303, 0.8042], [0.7447, 0.6075, 0.5775], [0.7573, 0.7802, 0.4012], [0.7587, 0.9523, 0.8353], [0.7850, 0.4512, 0.8341], [0.7865, 0.2797, 0.4017], [0.7989, 0.1074, 0.5778], [0.8790, 0.2284, 0.8043], [0.8989, 0.6103, 0.1909], [0.9040, 0.9126, 0.2212], [0.9283, 0.2620, 0.9924], [0.9400, 0.9956, 0.3873], [0.9629, 0.5197, 0.0558]],
  "energy_mp2020_ev_per_atom": -5.615,
  "formation_enthalpy_0k_ev_per_atom": -1.656
}

***

4.
{
  "formula": "K2H2RuO5",
  "functional": "PBE",
  "state": "relaxed",
  "lattice_angstrom": [[6.8447, 0.0000, 0.0000], [0.0000, 8.1745, 0.0000], [0.0000, 0.0000, 10.7141]],
  "species": ["K", "K", "K", "K", "K", "K", "K", "K", "H", "H", "H", "H", "H", "H", "H", "H", "Ru", "Ru", "Ru", "Ru", "O", "O", "O", "O", "O", "O", "O", "O", "O", "O", "O", "O", "O", "O", "O", "O", "O", "O", "O", "O"],
  "fractional_positions": [[0.0381, 0.2454, 0.1874], [0.1240, 0.9027, 0.9574], [0.3760, 0.0973, 0.4574], [0.4619, 0.7546, 0.6874], [0.5381, 0.2546, 0.8126], [0.6240, 0.5973, 0.0426], [0.8760, 0.4027, 0.5426], [0.9619, 0.7454, 0.3126], [0.1391, 0.5746, 0.0947], [0.1499, 0.2290, 0.7083], [0.3501, 0.7710, 0.2083], [0.3609, 0.4254, 0.5947], [0.6391, 0.9254, 0.9053], [0.6499, 0.2710, 0.2917], [0.8501, 0.7290, 0.7917], [0.8609, 0.0746, 0.4053], [0.0913, 0.4405, 0.8817], [0.4087, 0.5595, 0.3817], [0.5913, 0.0595, 0.1183], [0.9087, 0.9405, 0.6183], [0.0174, 0.5409, 0.0506], [0.1296, 0.2424, 0.9440], [0.1470, 0.9931, 0.6769], [0.1754, 0.3476, 0.7091], [0.2054, 0.4230, 0.3734], [0.2946, 0.5770, 0.8734], [0.3246, 0.6524, 0.2091], [0.3530, 0.0069, 0.1769], [0.3704, 0.7576, 0.4440], [0.4826, 0.4591, 0.5506], [0.5174, 0.9591, 0.9494], [0.6296, 0.2576, 0.0560], [0.6470, 0.5069, 0.3231], [0.6754, 0.1524, 0.2909], [0.7054, 0.0770, 0.6266], [0.7946, 0.9230, 0.1266], [0.8246, 0.8476, 0.7909], [0.8530, 0.4931, 0.8231], [0.8704, 0.7424, 0.5560], [0.9826, 0.0409, 0.4494]],
  "energy_mp2020_ev_per_atom": -5.904,
  "formation_enthalpy_0k_ev_per_atom": -1.602
}

***

5.
{
  "formula": "K2H17Ru2S4O24",
  "functional": "PBE",
  "state": "relaxed",
  "lattice_angstrom": [[9.1336, 0.0000, 0.0000], [2.0527, 9.0211, 0.0000], [3.9109, 2.6717, 8.4028]],
  "species": ["K", "K", "H", "H", "H", "H", "H", "H", "H", "H", "H", "H", "H", "H", "H", "H", "H", "H", "H", "Ru", "Ru", "S", "S", "S", "S", "O", "O", "O", "O", "O", "O", "O", "O", "O", "O", "O", "O", "O", "O", "O", "O", "O", "O", "O", "O", "O", "O", "O", "O"],
  "fractional_positions": [[0.0588, 0.4979, 0.2867], [0.9412, 0.5021, 0.7133], [0.0000, 0.5000, 0.0000], [0.1606, 0.9238, 0.8513], [0.2583, 0.9815, 0.2250], [0.2934, 0.7689, 0.4859], [0.3324, 0.4871, 0.5122], [0.3502, 0.3715, 0.9279], [0.3616, 0.1129, 0.1963], [0.3757, 0.3773, 0.9907], [0.4034, 0.6121, 0.3526], [0.5966, 0.3879, 0.6474], [0.6243, 0.6227, 0.0093], [0.6384, 0.8871, 0.8037], [0.6498, 0.6285, 0.0721], [0.6676, 0.5129, 0.4878], [0.7066, 0.2311, 0.5141], [0.7417, 0.0185, 0.7750], [0.8394, 0.0762, 0.1487], [0.3882, 0.9083, 0.4455], [0.6118, 0.0917, 0.5545], [0.0618, 0.0819, 0.6826], [0.4831, 0.3093, 0.2900], [0.5169, 0.6907, 0.7100], [0.9382, 0.9181, 0.3174], [0.0481, 0.2507, 0.6235], [0.0500, 0.6180, 0.8944], [0.0890, 0.9888, 0.2228], [0.1219, 0.6808, 0.9539], [0.1575, 0.0385, 0.7999], [0.1594, 0.0134, 0.5507], [0.3083, 0.5507, 0.4149], [0.3499, 0.3087, 0.2401], [0.3644, 0.9993, 0.2241], [0.4030, 0.3346, 0.6758], [0.4262, 0.2234, 0.6078], [0.4572, 0.8610, 0.6396], [0.5428, 0.1390, 0.3604], [0.5738, 0.7766, 0.3922], [0.5970, 0.6654, 0.3242], [0.6356, 0.0007, 0.7759], [0.6501, 0.6913, 0.7599], [0.6917, 0.4493, 0.5851], [0.8406, 0.9866, 0.4493], [0.8425, 0.9615, 0.2001], [0.8781, 0.3192, 0.0461], [0.9110, 0.0112, 0.7772], [0.9500, 0.3820, 0.1056], [0.9519, 0.7493, 0.3765]],
  "energy_mp2020_ev_per_atom": -5.436,
  "formation_enthalpy_0k_ev_per_atom": -1.074
}

***

6.
{
  "formula": "K2H12RuS2O14",
  "functional": "PBE",
  "state": "relaxed",
  "lattice_angstrom": [[6.2244, 0.0000, 0.0000], [0.0000, 12.4581, 0.0000], [-2.3132, 0.0000, 8.6786]],
  "species": ["K", "K", "K", "K", "H", "H", "H", "H", "H", "H", "H", "H", "H", "H", "H", "H", "H", "H", "H", "H", "H", "H", "H", "H", "H", "H", "H", "H", "Ru", "Ru", "S", "S", "S", "S", "O", "O", "O", "O", "O", "O", "O", "O", "O", "O", "O", "O", "O", "O", "O", "O", "O", "O", "O", "O", "O", "O", "O", "O", "O", "O", "O", "O"],
  "fractional_positions": [[0.1466, 0.1527, 0.3583], [0.1466, 0.3473, 0.8583], [0.8534, 0.6527, 0.1417], [0.8534, 0.8473, 0.6417], [0.1528, 0.5597, 0.5973], [0.1528, 0.9403, 0.0973], [0.1707, 0.6467, 0.4729], [0.1707, 0.8533, 0.9729], [0.1773, 0.0886, 0.7791], [0.1773, 0.4114, 0.2791], [0.4091, 0.1238, 0.7461], [0.4091, 0.3762, 0.2461], [0.4325, 0.6032, 0.2303], [0.4325, 0.8968, 0.7303], [0.4965, 0.1909, 0.1373], [0.4965, 0.3091, 0.6373], [0.5035, 0.6909, 0.3627], [0.5035, 0.8091, 0.8627], [0.5675, 0.1032, 0.2697], [0.5675, 0.3968, 0.7697], [0.5909, 0.6238, 0.7539], [0.5909, 0.8762, 0.2539], [0.8227, 0.5886, 0.7209], [0.8227, 0.9114, 0.2209], [0.8293, 0.1467, 0.0271], [0.8293, 0.3533, 0.5271], [0.8472, 0.0597, 0.9027], [0.8472, 0.4403, 0.4027], [0.5000, 0.0000, 0.0000], [0.5000, 0.5000, 0.5000], [0.2309, 0.6360, 0.9133], [0.2309, 0.8640, 0.4133], [0.7691, 0.1359, 0.5867], [0.7691, 0.3640, 0.0867], [0.0842, 0.7311, 0.9139], [0.0842, 0.7689, 0.4139], [0.1174, 0.5638, 0.7835], [0.1174, 0.9362, 0.2835], [0.1856, 0.5682, 0.4955], [0.1856, 0.9318, 0.9955], [0.2630, 0.5759, 0.0605], [0.2630, 0.9241, 0.5605], [0.3312, 0.1134, 0.8286], [0.3312, 0.3866, 0.3286], [0.4510, 0.6726, 0.8921], [0.4510, 0.8274, 0.3921], [0.4593, 0.1176, 0.1676], [0.4593, 0.3824, 0.6676], [0.5407, 0.6176, 0.3324], [0.5407, 0.8824, 0.8324], [0.5490, 0.1726, 0.6079], [0.5490, 0.3274, 0.1079], [0.6688, 0.6134, 0.6714], [0.6688, 0.8866, 0.1714], [0.7370, 0.0759, 0.4395], [0.7370, 0.4241, 0.9395], [0.8144, 0.0682, 0.0045], [0.8144, 0.4318, 0.5045], [0.8826, 0.0638, 0.7165], [0.8826, 0.4362, 0.2165], [0.9158, 0.2311, 0.5861], [0.9158, 0.2689, 0.0861]],
  "energy_mp2020_ev_per_atom": -5.715,
  "formation_enthalpy_0k_ev_per_atom": -1.529
}

***

7.
{
  "formula": "KH5S2O9",
  "functional": "PBE",
  "state": "relaxed",
  "lattice_angstrom": [[7.4914, 0.0000, 0.0000], [0.0000, 13.7049, 0.0000], [-2.5576, 0.0000, 8.2097]],
  "species": ["K", "K", "K", "K", "H", "H", "H", "H", "H", "H", "H", "H", "H", "H", "H", "H", "H", "H", "H", "H", "H", "H", "H", "H", "S", "S", "S", "S", "S", "S", "S", "S", "O", "O", "O", "O", "O", "O", "O", "O", "O", "O", "O", "O", "O", "O", "O", "O", "O", "O", "O", "O", "O", "O", "O", "O", "O", "O", "O", "O", "O", "O", "O", "O", "O", "O", "O", "O"],
  "fractional_positions": [[0.0953, 0.0317, 0.2754], [0.0953, 0.4683, 0.7754], [0.9047, 0.5317, 0.2246], [0.9047, 0.9683, 0.7246], [0.1472, 0.7256, 0.9679], [0.1472, 0.7744, 0.4679], [0.3063, 0.2255, 0.5499], [0.3063, 0.2745, 0.0499], [0.3782, 0.5673, 0.4856], [0.3782, 0.9327, 0.9856], [0.4509, 0.2062, 0.2030], [0.4509, 0.2938, 0.7030], [0.4574, 0.1693, 0.7158], [0.4574, 0.3307, 0.2158], [0.5426, 0.6693, 0.7842], [0.5426, 0.8307, 0.2842], [0.5491, 0.7062, 0.2970], [0.5491, 0.7938, 0.7970], [0.6218, 0.0673, 0.0144], [0.6218, 0.4327, 0.5144], [0.6937, 0.7255, 0.9501], [0.6937, 0.7745, 0.4501], [0.8528, 0.2256, 0.5321], [0.8528, 0.2744, 0.0321], [0.0090, 0.7017, 0.6222], [0.0090, 0.7983, 0.1222], [0.4034, 0.5248, 0.2459], [0.4034, 0.9752, 0.7459], [0.5966, 0.0248, 0.2541], [0.5966, 0.4752, 0.7541], [0.9910, 0.2017, 0.8778], [0.9910, 0.2983, 0.3778], [0.0562, 0.1173, 0.9822], [0.0562, 0.3827, 0.4822], [0.0820, 0.6743, 0.7944], [0.0820, 0.8257, 0.2944], [0.1356, 0.2204, 0.4055], [0.1356, 0.2796, 0.9055], [0.1843, 0.7475, 0.5834], [0.1843, 0.7525, 0.0834], [0.2549, 0.5044, 0.0981], [0.2549, 0.9956, 0.5981], [0.2985, 0.5663, 0.3669], [0.2985, 0.9337, 0.8669], [0.4335, 0.2285, 0.6422], [0.4335, 0.2715, 0.1422], [0.4602, 0.0989, 0.2693], [0.4602, 0.4011, 0.7693], [0.4967, 0.5661, 0.6777], [0.4967, 0.9339, 0.1777], [0.5033, 0.0661, 0.8223], [0.5033, 0.4339, 0.3223], [0.5398, 0.5989, 0.2307], [0.5398, 0.9011, 0.7307], [0.5665, 0.7285, 0.8578], [0.5665, 0.7715, 0.3578], [0.7015, 0.0663, 0.1331], [0.7015, 0.4337, 0.6331], [0.7451, 0.0044, 0.4019], [0.7451, 0.4956, 0.9019], [0.8157, 0.2475, 0.9166], [0.8157, 0.2525, 0.4166], [0.8644, 0.7204, 0.0945], [0.8644, 0.7796, 0.5945], [0.9180, 0.1743, 0.7056], [0.9180, 0.3257, 0.2056], [0.9438, 0.6173, 0.5178], [0.9438, 0.8827, 0.0178]],
  "energy_mp2020_ev_per_atom": -5.854,
  "formation_enthalpy_0k_ev_per_atom": -1.685
}

***

- Number 1 is which compound?
  K3PuH6O8

***

Repeat the first record exactly.
{
  "formula": "K3PuH6O8",
  "functional": "PBE",
  "state": "relaxed",
  "lattice_angstrom": [[7.8968, 0.0000, 0.0000], [0.0000, 8.5095, 0.0000], [-3.7398, 0.0000, 6.8804]],
  "species": ["K", "K", "K", "K", "K", "K", "Pu", "Pu", "H", "H", "H", "H", "H", "H", "H", "H", "H", "H", "H", "H", "O", "O", "O", "O", "O", "O", "O", "O", "O", "O", "O", "O", "O", "O", "O", "O"],
  "fractional_positions": [[0.0000, 0.0000, 0.0000], [0.0000, 0.5000, 0.5000], [0.4097, 0.1975, 0.9484], [0.4097, 0.3025, 0.4484], [0.5903, 0.6975, 0.5516], [0.5903, 0.8025, 0.0516], [0.0000, 0.0000, 0.5000], [0.0000, 0.5000, 0.0000], [0.1954, 0.7068, 0.8640], [0.1954, 0.7932, 0.3640], [0.3610, 0.5385, 0.8127], [0.3610, 0.9615, 0.3127], [0.4317, 0.5311, 0.1421], [0.4317, 0.9689, 0.6421], [0.5683, 0.0311, 0.3579], [0.5683, 0.4689, 0.8579], [0.6390, 0.0385, 0.6873], [0.6390, 0.4615, 0.1873], [0.8046, 0.2068, 0.6360], [0.8046, 0.2932, 0.1360], [0.1326, 0.1934, 0.5556], [0.1326, 0.3066, 0.0556], [0.1678, 0.5680, 0.2600], [0.1678, 0.9320, 0.7600], [0.2272, 0.5966, 0.9041], [0.2272, 0.9034, 0.4041], [0.4417, 0.5033, 0.7499], [0.4417, 0.9967, 0.2499], [0.5583, 0.0033, 0.7501], [0.5583, 0.4967, 0.2501], [0.7728, 0.0966, 0.5959], [0.7728, 0.4034, 0.0959], [0.8322, 0.0680, 0.2400], [0.8322, 0.4320, 0.7400], [0.8674, 0.6934, 0.9444], [0.8674, 0.8066, 0.4444]],
  "e_above_lowest_polymorph_mev_per_atom": 0,
  "energy_mp2020_ev_per_atom": -6.235,
  "formation_enthalpy_0k_ev_per_atom": -1.928
}